This record from Materials Project describes crystalline LaSb at its relaxed geometry. The functional is PBE-GGA.

Unit cell a=4.638 b=4.638 c=4.638 alpha=60.00 beta=60.00 gamma=60.00
Sites, in units of the cell vectors:
La: 0.000 0.000 0.000
Sb: 0.500 0.500 0.500

Computed properties:
Space group: Fm-3m
Energy of formation from the pure elements, eV per atom: -1.3632
Raw total energy, Ry per atom: -0.426

---

This record from Materials Project describes crystalline LaScSb at its relaxed geometry. The functional is PBE-GGA.

Unit cell a=8.997 b=8.997 c=8.997 alpha=150.74 beta=150.74 gamma=41.86
Sites, in units of the cell vectors:
La: 0.825 0.825 0.000
La: 0.175 0.175 0.000
Sc: 0.000 0.500 0.500
Sc: 0.500 0.000 0.500
Sb: 0.624 0.624 0.000
Sb: 0.376 0.376 0.000

Computed properties:
Space group: I4/mmm
Energy of formation from the pure elements, eV per atom: -0.9446
Raw total energy, Ry per atom: -0.442

---

This record from Materials Project describes crystalline LaSbTe at its relaxed geometry. The functional is PBE-GGA.

Unit cell a=4.424 b=4.424 c=9.689 alpha=90.00 beta=90.00 gamma=90.00
Sites, in units of the cell vectors:
La: 0.000 0.500 0.721
La: 0.500 0.000 0.279
Sb: 0.000 0.000 0.000
Sb: 0.500 0.500 0.000
Te: 0.000 0.500 0.372
Te: 0.500 0.000 0.628

Computed properties:
Space group: P4/nmm
Energy of formation from the pure elements, eV per atom: -1.4220
Raw total energy, Ry per atom: -0.393

---

This record from Materials Project describes crystalline LaSbTe at its relaxed geometry. The functional is PBE-GGA.

Unit cell a=4.411 b=4.449 c=19.453 alpha=90.00 beta=90.00 gamma=90.00
Sites, in units of the cell vectors:
La: 0.250 0.763 0.140
La: 0.750 0.263 0.360
La: 0.250 0.737 0.640
La: 0.750 0.237 0.860
Sb: 0.250 0.279 0.001
Sb: 0.750 0.779 0.499
Sb: 0.250 0.221 0.501
Sb: 0.750 0.721 0.999
Te: 0.750 0.262 0.186
Te: 0.250 0.762 0.314
Te: 0.750 0.238 0.686
Te: 0.250 0.738 0.814

Computed properties:
Space group: Pnma
Energy of formation from the pure elements, eV per atom: -1.4162
Raw total energy, Ry per atom: -0.393